KCuPH2O5: optimized geometry, PBE.

Output
As for the total energy: -231.559 eV per cell. The energy of formation comes out at -19.18 eV per formula unit.

Lattice parameters (Å, degrees): 6.878 6.809 10.599 87.21 90.00 90.00
Fractional coordinates of all 40 atoms:
K (0.076, 0.964, 0.315)
K (0.576, 0.536, 0.685)
K (0.924, 0.036, 0.685)
K (0.424, 0.464, 0.315)
Cu (0.704, 0.279, 0.993)
Cu (0.204, 0.221, 0.007)
Cu (0.296, 0.721, 0.007)
Cu (0.796, 0.779, 0.993)
P (0.966, 0.501, 0.176)
P (0.466, 0.999, 0.824)
P (0.034, 0.499, 0.824)
P (0.534, 0.001, 0.176)
H (0.865, 0.342, 0.421)
H (0.365, 0.158, 0.579)
H (0.135, 0.658, 0.579)
H (0.635, 0.842, 0.421)
H (0.714, 0.169, 0.410)
H (0.214, 0.331, 0.590)
H (0.286, 0.831, 0.590)
H (0.786, 0.669, 0.410)
O (0.964, 0.559, 0.313)
O (0.464, 0.941, 0.687)
O (0.036, 0.441, 0.687)
O (0.536, 0.059, 0.313)
O (0.114, 0.329, 0.163)
O (0.614, 0.171, 0.837)
O (0.886, 0.671, 0.837)
O (0.386, 0.829, 0.163)
O (0.036, 0.682, 0.085)
O (0.536, 0.818, 0.915)
O (0.964, 0.318, 0.915)
O (0.464, 0.182, 0.085)
O (0.757, 0.451, 0.130)
O (0.257, 0.049, 0.870)
O (0.243, 0.549, 0.870)
O (0.743, 0.951, 0.130)
O (0.822, 0.217, 0.461)
O (0.322, 0.283, 0.539)
O (0.178, 0.783, 0.539)
O (0.678, 0.717, 0.461)